Record 1
28
Lattice="-5.227 -5.667 -0.783 -3.381 6.214 3.161 2.846 1.869 -6.961" Properties=species:S:1:pos:R:3 comment="Li3BiO3 (GGA-PBE, relaxed)" total_magnetization_mub_per_cell=0.00 space_group=I-43m density_g_cm3=5.15 volume_a3_per_atom=12.792 crystal_system=cubic pbc="T T T"
Li -5.266 -1.129 0.911
Li -2.379 -3.143 -3.781
Li -4.108 -1.920 -1.703
Li -3.924 0.750 -0.423
Li -2.103 -0.521 -3.383
Li -4.815 1.771 1.874
Li -0.409 -1.304 -5.288
Li -0.366 1.573 -4.566
Li -3.252 3.587 0.125
Li -1.563 2.953 -2.230
Li -1.074 5.263 -0.989
Li 0.447 4.203 -3.460
Bi -1.471 -1.595 -0.220
Bi -0.952 1.749 0.890
Bi 0.801 0.526 -1.959
Bi -4.140 1.736 -3.293
O -3.446 -1.318 0.381
O -1.922 -2.381 -2.096
O -2.665 -1.276 -5.039
O -5.773 0.893 0.012
O -2.973 1.727 1.392
O 0.147 -0.450 -3.679
O -4.155 -0.180 -2.479
O -0.998 3.570 -0.119
O 0.598 2.457 -2.714
O -3.703 2.727 -1.513
O -2.179 1.663 -3.990
O -1.744 4.653 -3.070

Record 2
117
Lattice="8.936 0.009 -0.024 -4.461 7.729 0.007 -0.062 -0.015 22.405" Properties=species:S:1:pos:R:3 comment="Na5Ta2Ti2Si5PO24 (GGA-PBE, relaxed)" total_magnetization_mub_per_cell=0.00 space_group=P1 density_g_cm3=3.63 volume_a3_per_atom=13.234 crystal_system=triclinic pbc="T T T"
Na 5.659 0.058 5.561
Na 1.655 2.787 5.571
Na 6.052 4.881 5.558
Na 7.260 2.810 16.785
Na -2.830 5.390 12.996
Na 1.564 7.437 12.988
Na 5.596 5.147 20.560
Na 6.059 0.269 20.550
Na 1.582 2.290 20.592
Na -0.002 0.054 11.024
Na 0.011 0.006 0.042
Na 4.367 2.552 18.672
Na 4.467 2.567 7.462
Na 0.008 5.146 3.579
Na 0.042 5.127 14.839
Ta -0.032 0.008 14.444
Ta 0.019 0.007 3.221
Ta 4.396 2.576 15.397
Ta 4.460 2.569 10.667
Ta -0.039 5.159 7.044
Ta -0.058 5.197 18.182
Ti 4.428 7.678 7.918
Ti -0.011 0.025 19.071
Ti 4.446 2.630 4.119
Ti 4.408 2.545 22.043
Ti -0.096 5.083 0.508
Ti -0.020 5.159 11.603
Si 2.545 0.023 5.629
Si 3.182 5.509 5.583
Si 7.629 2.201 5.599
Si 1.279 2.222 16.828
Si 5.692 5.512 16.813
Si 1.866 7.699 16.807
Si 7.045 2.608 13.044
Si 3.135 0.344 13.024
Si 3.091 4.781 13.027
Si 5.752 4.806 1.838
Si 1.880 2.619 1.840
Si -1.361 2.887 20.555
Si -1.347 7.386 20.598
Si 1.320 7.390 9.355
Si -2.631 5.190 9.369
P 5.733 0.331 1.860
P 2.511 5.150 20.563
P 1.242 2.907 9.355
O 1.571 0.297 6.886
O 3.916 6.189 6.866
O 7.875 1.226 6.867
O 0.976 1.311 18.164
O 5.057 6.212 18.140
O 7.271 0.249 18.114
O 2.787 7.502 15.467
O 0.527 1.510 15.555
O -3.491 6.405 15.499
O 3.394 6.501 4.300
O -0.561 1.528 4.319
O -2.869 7.424 4.328
O 6.100 2.833 14.383
O 3.855 1.056 14.327
O 3.433 3.860 14.348
O 5.463 3.891 3.178
O 5.140 1.017 3.122
O 2.840 2.772 3.175
O 2.844 2.370 0.517
O 5.114 4.075 0.506
O 5.482 1.224 0.590
O 3.414 1.315 11.750
O 3.887 4.101 11.776
O 6.027 2.295 11.789
O 1.609 5.412 21.765
O -0.601 3.620 21.804
O -1.064 6.364 21.823
O 0.979 6.471 10.667
O 0.639 3.643 10.561
O -1.656 5.339 10.674
O -1.665 4.932 8.032
O 0.643 6.659 8.022
O 1.001 3.784 8.059
O -1.083 3.842 19.231
O -0.620 6.675 19.281
O 1.606 4.905 19.299
O -3.523 6.526 9.206
O 2.919 7.549 9.189
O 0.608 1.534 9.215
O -0.677 1.399 20.431
O -2.975 7.511 20.434
O 3.420 6.399 20.390
O 7.901 1.215 13.178
O 1.519 0.140 13.203
O 3.818 6.262 13.204
O 5.038 6.277 1.972
O 7.285 0.241 1.976
O 0.943 1.270 1.993
O 5.439 1.339 16.657
O 2.885 2.364 16.680
O 5.101 3.992 16.683
O 3.841 4.013 5.439
O 6.016 2.395 5.432
O 3.542 1.298 5.434
O 3.405 3.878 20.635
O 5.950 2.760 20.656
O 3.796 1.145 20.666
O 5.022 1.120 9.446
O 2.795 2.820 9.468
O 5.385 3.840 9.459
O 0.977 3.960 1.690
O -1.562 4.952 1.720
O 0.645 6.681 1.704
O -0.647 6.597 12.934
O 1.504 5.021 12.931
O -1.004 3.931 12.927
O -0.968 6.391 5.753
O 1.551 5.322 5.753
O -0.609 3.688 5.756
O 0.529 3.667 16.982
O -1.610 5.302 16.967
O 0.928 6.376 16.954

Record 3
12
Lattice="-0.412 3.717 1.198 1.960 -4.009 6.677 10.076 1.735 -1.917" Properties=species:S:1:pos:R:3 comment="CsTmCoS3 (GGA-PBE, relaxed)" space_group=Cmcm density_g_cm3=4.77 volume_a3_per_atom=26.511 crystal_system=orthorhombic pbc="T T T"
Cs 8.185 2.137 2.621
Cs 3.439 -0.694 3.337
Tm 5.038 0.868 -0.958
Tm 0.000 0.000 0.000
Co 9.184 -0.693 5.309
Co 2.441 2.136 0.649
S 0.834 1.489 2.102
S 7.049 -0.691 4.568
S 4.576 2.134 1.391
S 10.790 -0.046 3.856
S 7.719 1.102 -0.765
S 3.905 0.341 6.723

Record 4
19
Lattice="5.230 0.122 0.000 0.122 5.254 0.000 0.000 0.000 10.689" Properties=species:S:1:pos:R:3 comment="MgHg2Bi4O12 (GGA-PBE, relaxed)" total_magnetization_mub_per_cell=0.00 space_group=Pm density_g_cm3=8.22 volume_a3_per_atom=15.452 crystal_system=monoclinic pbc="T T T"
Mg 3.917 4.004 5.345
Hg 0.133 0.136 0.000
Hg 1.961 1.979 5.345
Bi 0.077 0.072 3.364
Bi 0.077 0.072 7.325
Bi 2.802 2.813 1.713
Bi 2.802 2.813 8.976
O 1.219 4.278 8.889
O 1.219 4.278 1.801
O 0.902 4.212 5.345
O 1.828 1.836 0.000
O 1.647 1.653 3.280
O 1.647 1.653 7.409
O 3.827 3.850 3.397
O 3.827 3.850 7.292
O 3.765 3.778 0.000
O 4.179 0.885 5.345
O 4.264 1.228 1.804
O 4.264 1.228 8.885

Record 5
28
Lattice="4.937 0.000 0.000 0.000 6.971 0.000 0.000 0.000 9.899" Properties=species:S:1:pos:R:3 comment="LiCuPO4 (GGA-PBE, relaxed)" total_magnetization_mub_per_cell=4.01 space_group=Pna2_1 density_g_cm3=3.23 volume_a3_per_atom=12.168 crystal_system=orthorhombic pbc="T T T"
Li 3.427 2.000 6.492
Li 0.958 5.486 8.356
Li 3.979 2.000 1.542
Li 1.510 5.486 3.407
Cu 3.473 5.472 6.417
Cu 1.004 1.987 8.431
Cu 3.933 5.472 1.467
Cu 1.465 1.987 3.482
P 0.935 3.743 5.869
P 3.403 0.258 8.979
P 1.534 3.743 0.920
P 4.003 0.258 4.029
O 3.672 0.241 5.547
O 4.334 3.729 6.111
O 1.534 2.473 6.530
O 1.506 5.053 6.474
O 3.975 1.568 8.374
O 4.003 5.958 8.318
O 1.866 0.244 8.737
O 1.203 3.727 9.301
O 3.734 0.241 0.598
O 3.072 3.729 1.162
O 0.935 2.473 1.580
O 0.963 5.053 1.525
O 3.431 1.568 3.425
O 3.403 5.958 3.369
O 0.603 0.244 3.788
O 1.266 3.727 4.351

Record 6
9
Lattice="0.000 0.000 -3.713 -3.131 -5.424 0.000 -3.131 5.424 0.000" Properties=species:S:1:pos:R:3 comment="TiPOs (GGA-PBE, relaxed)" space_group=P-62m density_g_cm3=10.63 volume_a3_per_atom=14.013 crystal_system=hexagonal pbc="T T T"
Ti -3.666 0.000 -1.856
Ti -1.298 2.249 -1.856
Ti -1.298 -2.249 -1.856
P -3.131 -1.808 0.000
P -3.131 1.808 0.000
P 0.000 0.000 -1.856
Os -1.584 0.000 0.000
Os -2.340 4.052 0.000
Os -2.340 -4.052 0.000

Record 7
37
Lattice="0.224 -0.029 6.238 7.977 -0.332 0.271 -0.415 9.271 -0.044" Properties=species:S:1:pos:R:3 comment="MgCd4Cu4As4H4O20 (GGA-PBE, relaxed)" total_magnetization_mub_per_cell=0.53 space_group=P1 density_g_cm3=4.88 volume_a3_per_atom=12.431 crystal_system=triclinic pbc="T T T"
Mg 2.331 0.194 3.778
Cd 4.825 2.849 2.480
Cd 0.631 1.863 1.295
Cd 3.470 6.068 4.701
Cd 6.871 7.215 5.080
Cu 5.051 8.665 2.562
Cu -0.141 4.752 0.000
Cu 3.825 -0.002 0.162
Cu -0.100 4.762 3.085
As 4.800 5.714 1.570
As 0.355 7.943 1.601
As 2.904 3.075 4.913
As 7.093 1.090 4.742
H 5.781 1.128 0.909
H 1.817 4.404 1.550
H 1.826 7.800 5.549
H 6.098 4.421 5.039
O 2.781 2.096 3.470
O 7.148 1.952 6.229
O 4.758 6.703 0.149
O 0.204 6.905 2.965
O 4.816 6.766 2.983
O 0.413 7.067 0.112
O 2.743 1.960 6.208
O 7.083 2.176 3.387
O 3.461 4.662 1.721
O 7.076 8.791 1.724
O 4.447 3.843 4.678
O 0.454 0.315 4.434
O 6.166 4.637 1.647
O 1.804 8.901 1.816
O 1.815 4.439 4.930
O 5.722 0.003 4.689
O 4.970 0.873 1.447
O 0.853 4.134 1.548
O 2.632 8.154 5.048
O 6.974 4.878 4.982

Record 8
108
Lattice="8.809 0.000 0.000 -4.404 7.629 0.000 0.000 0.000 23.007" Properties=species:S:1:pos:R:3 comment="NaTaInP3O12 (GGA-PBE, relaxed)" total_magnetization_mub_per_cell=0.00 density_g_cm3=3.89 volume_a3_per_atom=14.316 pbc="T T T"
Na 0.000 0.000 11.406
Na 0.000 0.000 22.909
Na 4.404 2.543 19.075
Na 4.404 2.543 7.571
Na 0.000 5.086 3.737
Na 0.000 5.086 15.240
Ta 0.000 0.000 14.856
Ta 0.000 0.000 3.352
Ta 4.404 2.543 22.525
Ta 4.404 2.543 11.021
Ta 0.000 5.086 7.187
Ta 0.000 5.086 18.690
In 0.000 0.000 8.094
In 0.000 0.000 19.598
In 4.404 2.543 15.764
In 4.404 2.543 4.260
In 0.000 5.086 0.425
In 0.000 5.086 11.929
P -1.847 7.626 5.764
P 3.123 5.416 5.764
P -1.276 2.216 5.764
P 1.276 2.216 17.268
P -3.123 5.416 17.268
P 1.847 7.626 17.268
P 6.962 2.540 13.434
P 3.123 0.330 13.434
P 3.129 4.759 13.434
P 5.680 4.759 1.930
P 5.686 0.330 1.930
P 1.847 2.540 1.930
P 2.557 5.083 21.103
P -1.281 2.873 21.103
P -1.276 7.302 21.103
P 1.276 7.302 9.599
P 1.281 2.873 9.599
P -2.557 5.083 9.599
O 1.758 0.208 7.018
O 3.706 6.002 7.018
O 7.750 1.418 7.018
O 1.059 1.418 18.522
O 5.103 6.002 18.522
O 7.051 0.208 18.522
O 2.780 7.401 16.003
O 0.615 1.521 16.003
O -3.395 6.336 16.003
O 3.395 6.336 4.499
O -0.615 1.521 4.499
O -2.780 7.401 4.499
O 6.162 2.751 14.688
O 3.706 0.917 14.688
O 3.345 3.961 14.688
O 5.464 3.961 3.184
O 5.103 0.917 3.184
O 2.647 2.751 3.184
O 2.780 2.315 0.665
O 5.020 4.064 0.665
O 5.414 1.250 0.665
O 3.395 1.250 12.168
O 3.789 4.064 12.168
O 6.029 2.315 12.168
O 1.758 5.294 22.357
O -0.698 3.460 22.357
O -1.059 6.504 22.357
O 1.059 6.504 10.853
O 0.698 3.460 10.853
O -1.758 5.294 10.853
O -1.625 4.858 8.334
O 0.615 6.607 8.334
O 1.009 3.793 8.334
O -1.009 3.793 19.838
O -0.615 6.607 19.838
O 1.625 4.858 19.838
O -3.499 6.258 9.442
O 2.764 7.530 9.442
O 0.734 1.470 9.442
O -0.734 1.470 20.945
O -2.764 7.530 20.945
O 3.499 6.258 20.945
O 7.819 1.214 13.591
O 1.546 0.251 13.591
O 3.849 6.164 13.591
O 4.960 6.164 2.087
O 7.263 0.251 2.087
O 0.990 1.214 2.087
O 5.310 1.172 17.111
O 2.764 2.444 17.111
O 5.139 4.013 17.111
O 3.670 4.013 5.607
O 6.045 2.444 5.607
O 3.499 1.172 5.607
O 3.414 3.757 21.260
O 5.951 2.794 21.260
O 3.849 1.079 21.260
O 4.960 1.079 9.756
O 2.858 2.794 9.756
O 5.395 3.757 9.756
O 0.906 3.715 1.772
O -1.640 4.987 1.772
O 0.734 6.556 1.772
O -0.734 6.556 13.276
O 1.640 4.987 13.276
O -0.906 3.715 13.276
O -0.990 6.299 5.922
O 1.546 5.337 5.922
O -0.556 3.622 5.922
O 0.556 3.622 17.426
O -1.546 5.337 17.426
O 0.990 6.299 17.426

What ΔE_f values result from the calculations? In sequence: -1900; -3075; -1552; -1254; -2184; -831; -1481; -2764 meV/atom.